# 1
Crystalline GdIO at its relaxed geometry, computed with meta-GGA r2SCAN.

a = 7.284 Å, b = 6.985 Å, c = 6.985 Å
α = 110.00°, β = 71.61°, γ = 71.61°
Atoms (fractional coordinates):
O (0.517, 0.991, 0.241)
O (0.483, 0.009, 0.759)
O (0.017, 0.241, 0.991)
O (0.983, 0.759, 0.009)
Gd (0.250, 0.976, 0.024)
Gd (0.750, 0.726, 0.274)
Gd (0.250, 0.274, 0.726)
Gd (0.750, 0.024, 0.976)
I (0.500, 0.500, 0.000)
I (0.000, 0.500, 0.500)
I (0.000, 0.000, 0.500)
I (0.500, 0.500, 0.500)

Properties
DFT formation energy = -2.426 eV/atom
V = 23.240 Å³ per atom

# 2
Crystalline Gd2In at its relaxed geometry, computed with meta-GGA r2SCAN.

a = 5.442 Å, b = 5.442 Å, c = 6.757 Å
α = 90.00°, β = 90.00°, γ = 120.00°
Atoms (fractional coordinates):
Gd (0.000, 0.000, 0.500)
Gd (0.000, 0.000, 0.000)
Gd (0.333, 0.667, 0.750)
Gd (0.667, 0.333, 0.250)
In (0.333, 0.667, 0.250)
In (0.667, 0.333, 0.750)

Properties
DFT formation energy = -0.483 eV/atom
V = 28.886 Å³ per atom

# 3
Crystalline GdIn3 at its relaxed geometry, computed with meta-GGA r2SCAN.

a = 4.639 Å, b = 4.639 Å, c = 4.639 Å
α = 90.00°, β = 90.00°, γ = 90.00°
Atoms (fractional coordinates):
In (0.500, 0.500, 0.000)
In (0.000, 0.500, 0.500)
In (0.500, 0.000, 0.500)
Gd (0.000, 0.000, 0.000)

Properties
DFT formation energy = -0.514 eV/atom
V = 24.964 Å³ per atom

# 4
Crystalline Gd3In at its relaxed geometry, computed with meta-GGA r2SCAN.

a = 4.890 Å, b = 4.890 Å, c = 4.890 Å
α = 90.00°, β = 90.00°, γ = 90.00°
Atoms (fractional coordinates):
Gd (0.000, 0.500, 0.500)
Gd (0.500, 0.000, 0.500)
Gd (0.500, 0.500, 0.000)
In (0.000, 0.000, 0.000)

Properties
DFT formation energy = -0.381 eV/atom
V = 29.236 Å³ per atom

# 5
Crystalline Gd2MgIn at its relaxed geometry, computed with meta-GGA r2SCAN.

a = 5.365 Å, b = 5.365 Å, c = 5.365 Å
α = 60.00°, β = 60.00°, γ = 60.00°
Atoms (fractional coordinates):
Mg (0.000, 0.000, 0.000)
In (0.500, 0.500, 0.500)
Gd (0.250, 0.250, 0.250)
Gd (0.750, 0.750, 0.750)

Properties
DFT formation energy = -0.387 eV/atom
V = 27.300 Å³ per atom

# 6
Crystalline Gd3InN at its relaxed geometry, computed with meta-GGA r2SCAN.

a = 4.877 Å, b = 4.875 Å, c = 4.878 Å
α = 90.02°, β = 90.03°, γ = 89.96°
Atoms (fractional coordinates):
Gd (0.000, 0.500, 0.500)
Gd (0.500, 0.000, 0.500)
Gd (0.500, 0.500, 0.000)
In (0.000, 0.000, 0.000)
N (0.500, 0.500, 0.500)

Properties
DFT formation energy = -1.092 eV/atom
V = 23.190 Å³ per atom